[1]
Computed, not measured: a relaxed structure of Na3AsH24SeO15 at the PBE level of DFT.

Calculated values
Total magnetic moment, μB/atom: 0.000
VASP energy, Ha/atom: -0.1808

Lattice parameters (Å, degrees): 9.309 13.141 13.928 90.00 90.00 90.00
Space group P2_12_12_1 (No. 19)
One atom of each set of equivalent atoms:
Na  0.241  0.212  0.100 (multiplicity 4)
Na  0.245  0.218  0.391 (multiplicity 4)
Na  0.249  0.008  0.979 (multiplicity 4)
As  0.248  0.541  0.273 (multiplicity 4)
H  0.001  0.620  0.013 (multiplicity 4)
H  0.010  0.915  0.558 (multiplicity 4)
H  0.012  0.141  0.974 (multiplicity 4)
H  0.014  0.246  0.254 (multiplicity 4)
H  0.021  0.565  0.116 (multiplicity 4)
H  0.023  0.227  0.829 (multiplicity 4)
H  0.029  0.586  0.429 (multiplicity 4)
H  0.034  0.207  0.635 (multiplicity 4)
H  0.040  0.962  0.657 (multiplicity 4)
H  0.045  0.853  0.038 (multiplicity 4)
H  0.046  0.984  0.250 (multiplicity 4)
H  0.054  0.822  0.437 (multiplicity 4)
H  0.055  0.957  0.812 (multiplicity 4)
H  0.063  0.611  0.846 (multiplicity 4)
H  0.066  0.625  0.681 (multiplicity 4)
H  0.109  0.344  0.235 (multiplicity 4)
H  0.149  0.946  0.165 (multiplicity 4)
H  0.153  0.419  0.086 (multiplicity 4)
H  0.164  0.362  0.548 (multiplicity 4)
H  0.164  0.424  0.449 (multiplicity 4)
H  0.172  0.795  0.092 (multiplicity 4)
H  0.188  0.790  0.376 (multiplicity 4)
H  0.210  0.403  0.979 (multiplicity 4)
H  0.221  0.966  0.791 (multiplicity 4)
Se  0.234  0.288  0.731 (multiplicity 4)
O  0.047  0.669  0.893 (multiplicity 4)
O  0.049  0.100  0.427 (multiplicity 4)
O  0.052  0.686  0.639 (multiplicity 4)
O  0.055  0.112  0.034 (multiplicity 4)
O  0.088  0.521  0.760 (multiplicity 4)
O  0.090  0.929  0.603 (multiplicity 4)
O  0.114  0.269  0.247 (multiplicity 4)
O  0.124  0.479  0.201 (multiplicity 4)
O  0.136  0.358  0.480 (multiplicity 4)
O  0.145  0.989  0.224 (multiplicity 4)
O  0.147  0.373  0.030 (multiplicity 4)
O  0.150  0.936  0.837 (multiplicity 4)
O  0.151  0.856  0.053 (multiplicity 4)
O  0.159  0.826  0.434 (multiplicity 4)
O  0.195  0.532  0.392 (multiplicity 4)



[2]
Computed, not measured: a relaxed structure of Na3AsH18Se4O9 at the PBE level of DFT.

Calculated values
Total magnetic moment, μB/atom: 0.000
VASP energy, Ha/atom: -0.1699

Lattice parameters (Å, degrees): 12.224 12.224 12.224 90.00 90.00 90.00
Space group P2_13 (No. 198)
One atom of each set of equivalent atoms:
Na  0.051  0.449  0.551 (multiplicity 4)
Na  0.100  0.100  0.100 (multiplicity 4)
Na  0.208  0.292  0.708 (multiplicity 4)
As  0.039  0.961  0.461 (multiplicity 4)
H  0.017  0.695  0.583 (multiplicity 12)
H  0.017  0.748  0.839 (multiplicity 12)
H  0.036  0.829  0.740 (multiplicity 12)
H  0.051  0.773  0.222 (multiplicity 12)
H  0.064  0.693  0.122 (multiplicity 12)
H  0.078  0.128  0.858 (multiplicity 12)
Se  0.072  0.572  0.928 (multiplicity 4)
Se  0.075  0.355  0.153 (multiplicity 12)
O  0.010  0.317  0.694 (multiplicity 12)
O  0.029  0.128  0.923 (multiplicity 12)
O  0.104  0.747  0.166 (multiplicity 12)



[3]
Computed, not measured: a relaxed structure of NaZnAsH4O6 at the PBE level of DFT.

Calculated values
Energy relative to the lowest polymorph listed for this composition, eV per formula unit: 0.65
Total magnetic moment, μB/atom: 0.000
VASP energy, Ha/atom: -0.1876

Lattice parameters (Å, degrees): 6.006 6.222 8.068 84.63 83.36 88.62
Space group P-1 (No. 2)
One atom of each set of equivalent atoms:
Na  0.000  0.000  0.000 (multiplicity 1)
Na  0.500  0.500  0.000 (multiplicity 1)
Zn  0.199  0.268  0.394 (multiplicity 2)
As  0.319  0.761  0.394 (multiplicity 2)
H  0.256  0.330  0.773 (multiplicity 2)
H  0.310  0.148  0.899 (multiplicity 2)
H  0.374  0.855  0.039 (multiplicity 2)
H  0.485  0.899  0.845 (multiplicity 2)
O  0.130  0.757  0.569 (multiplicity 2)
O  0.237  0.291  0.896 (multiplicity 2)
O  0.272  0.558  0.269 (multiplicity 2)
O  0.289  0.004  0.264 (multiplicity 2)
O  0.347  0.848  0.922 (multiplicity 2)
O  0.404  0.253  0.571 (multiplicity 2)



ΔE_f across the listed records, respectively: -1341 -1136 -1538 meV/atom.